## i
Li6Mn5SbO12: optimized geometry, PBE+U. Values from VASP.

Properties
Its space group is C2/m (12).

Structure (Quantum ESPRESSO input):
```
&SYSTEM
  ibrav = 0, nat = 24, ntyp = 4
/
ATOMIC_SPECIES
O 16.00 O.upf
Mn 54.94 Mn.upf
Sb 121.76 Sb.upf
Li 6.94 Li.upf
ATOMIC_POSITIONS crystal
O 0.299 0.299 0.099
O 0.897 0.897 0.391
O 0.326 0.002 0.894
O 0.002 0.326 0.894
O 0.701 0.701 0.901
O 0.787 0.431 0.617
O 0.674 0.998 0.106
O 0.569 0.213 0.383
O 0.998 0.674 0.106
O 0.103 0.103 0.609
O 0.431 0.787 0.617
O 0.213 0.569 0.383
Mn 0.500 0.500 0.500
Mn 0.667 0.333 0.000
Mn 0.168 0.832 0.500
Mn 0.832 0.168 0.500
Mn 0.333 0.667 0.000
Sb 0.000 0.000 0.000
Li 0.236 0.236 0.285
Li 0.563 0.902 0.285
Li 0.902 0.563 0.285
Li 0.098 0.437 0.715
Li 0.764 0.764 0.715
Li 0.437 0.098 0.715
CELL_PARAMETERS angstrom
-1.323 -4.691 -2.128
-0.886 0.631 5.206
-9.975 2.767 -1.413
```

## ii
Li6Mn5SbO12: optimized geometry, PBE+U. Values from VASP.

Properties
Its space group is P1 (1).

Structure (Quantum ESPRESSO input):
```
&SYSTEM
  ibrav = 0, nat = 48, ntyp = 4
/
ATOMIC_SPECIES
Li 6.94 Li.upf
O 16.00 O.upf
Sb 121.76 Sb.upf
Mn 54.94 Mn.upf
ATOMIC_POSITIONS crystal
Li 0.899 0.716 0.360
Li 0.399 0.716 0.856
Li 0.601 0.284 0.139
Li 0.395 0.714 0.529
Li 0.101 0.284 0.644
Li 0.895 0.714 0.685
Li 0.604 0.285 0.813
Li 0.606 0.287 0.475
Li 0.395 0.714 0.190
Li 0.103 0.285 0.972
Li 0.896 0.714 0.024
Li 0.106 0.287 0.311
O 0.896 0.392 0.194
O 0.119 0.103 0.878
O 0.094 0.616 0.488
O 0.870 0.893 0.095
O 0.091 0.616 0.129
O 0.409 0.384 0.372
O 0.159 0.099 0.566
O 0.659 0.100 0.034
O 0.603 0.609 0.303
O 0.907 0.384 0.871
O 0.130 0.108 0.202
O 0.880 0.897 0.776
O 0.619 0.103 0.725
O 0.397 0.391 0.697
O 0.370 0.893 0.298
O 0.341 0.901 0.935
O 0.908 0.384 0.512
O 0.629 0.108 0.406
O 0.104 0.608 0.805
O 0.381 0.897 0.622
O 0.841 0.900 0.466
O 0.407 0.384 0.013
O 0.594 0.616 0.628
O 0.591 0.616 0.987
Sb 0.000 0.000 0.995
Sb 0.500 0.000 0.505
Mn 0.750 0.501 0.082
Mn 0.250 0.500 0.250
Mn 0.250 0.500 0.584
Mn 0.750 0.500 0.415
Mn 0.500 0.000 0.168
Mn 0.750 0.500 0.750
Mn 0.000 0.000 0.667
Mn 0.250 0.500 0.918
Mn 0.500 0.000 0.834
Mn 0.000 0.000 0.333
CELL_PARAMETERS angstrom
2.788 4.765 0.419
4.871 -0.668 -10.296
-7.842 4.589 -0.002
```

Most stable: ii (next structure +0.013 eV/atom)

## i
Li3FeP2O8: optimized geometry, PBE+U. Values from VASP.

Structure (Quantum ESPRESSO input):
```
&SYSTEM
  ibrav = 0, nat = 56, ntyp = 4
/
ATOMIC_SPECIES
O 16.00 O.upf
Li 6.94 Li.upf
P 30.97 P.upf
Fe 55.84 Fe.upf
ATOMIC_POSITIONS crystal
O 0.293 0.961 0.583
O 0.757 0.673 0.334
O 0.049 0.191 0.843
O 0.257 0.173 0.334
O 0.489 0.633 0.346
O 0.743 0.827 0.666
O 0.243 0.327 0.666
O 0.271 0.608 0.654
O 0.665 0.378 0.037
O 0.707 0.039 0.417
O 0.165 0.878 0.037
O 0.729 0.392 0.346
O 0.207 0.539 0.417
O 0.139 0.458 0.931
O 0.771 0.108 0.654
O 0.716 0.044 0.157
O 0.793 0.461 0.583
O 0.216 0.544 0.157
O 0.011 0.867 0.654
O 0.451 0.309 0.157
O 0.549 0.691 0.843
O 0.335 0.622 0.963
O 0.639 0.958 0.931
O 0.511 0.367 0.654
O 0.989 0.133 0.346
O 0.284 0.956 0.843
O 0.951 0.809 0.157
O 0.784 0.456 0.843
O 0.229 0.892 0.346
O 0.835 0.122 0.963
O 0.361 0.042 0.069
O 0.861 0.542 0.069
Li 0.897 0.803 0.345
Li 0.442 0.208 0.985
Li 0.558 0.792 0.015
Li 0.942 0.708 0.985
Li 0.058 0.292 0.015
Li 0.481 0.003 0.726
Li 0.519 0.997 0.274
Li 0.397 0.303 0.345
Li 0.019 0.497 0.274
Li 0.103 0.197 0.655
Li 0.981 0.503 0.726
Li 0.603 0.697 0.655
P 0.809 0.958 0.601
P 0.309 0.458 0.601
P 0.691 0.542 0.399
P 0.785 0.989 0.046
P 0.191 0.042 0.399
P 0.215 0.011 0.954
P 0.285 0.489 0.046
P 0.715 0.511 0.954
Fe 0.229 0.728 0.251
Fe 0.729 0.228 0.251
Fe 0.271 0.772 0.749
Fe 0.771 0.273 0.749
CELL_PARAMETERS angstrom
-3.916 -6.750 4.129
-4.675 3.517 6.617
-6.758 6.026 -4.400
```

## ii
Li3FeP2O8: optimized geometry, PBE+U. Values from VASP.

Properties
Its space group is P-3 (147).

Structure (Quantum ESPRESSO input):
```
&SYSTEM
  ibrav = 0, nat = 42, ntyp = 4
/
ATOMIC_SPECIES
Li 6.94 Li.upf
O 16.00 O.upf
P 30.97 P.upf
Fe 55.84 Fe.upf
ATOMIC_POSITIONS crystal
Li 0.333 0.667 0.980
Li 0.000 0.000 0.000
Li 0.301 0.371 0.786
Li 0.371 0.070 0.214
Li 0.070 0.699 0.786
Li 0.930 0.301 0.214
Li 0.667 0.333 0.020
Li 0.629 0.930 0.786
Li 0.699 0.629 0.214
O 0.854 0.049 0.298
O 0.158 0.706 0.422
O 0.195 0.146 0.298
O 0.805 0.854 0.702
O 0.867 0.489 0.254
O 0.049 0.195 0.702
O 0.511 0.377 0.254
O 0.623 0.133 0.254
O 0.706 0.548 0.578
O 0.727 0.601 0.937
O 0.951 0.805 0.298
O 0.489 0.623 0.746
O 0.874 0.273 0.937
O 0.146 0.951 0.702
O 0.273 0.399 0.063
O 0.294 0.452 0.422
O 0.399 0.126 0.937
O 0.377 0.867 0.746
O 0.601 0.874 0.063
O 0.452 0.158 0.578
O 0.133 0.511 0.746
O 0.126 0.727 0.063
O 0.548 0.842 0.422
O 0.842 0.294 0.578
P 0.972 0.318 0.744
P 0.346 0.028 0.744
P 0.318 0.346 0.256
P 0.682 0.654 0.744
P 0.654 0.972 0.256
P 0.028 0.682 0.256
Fe 0.667 0.333 0.454
Fe 0.000 0.000 0.500
Fe 0.333 0.667 0.546
CELL_PARAMETERS angstrom
4.379 -7.585 0.000
4.379 7.585 0.000
0.000 0.000 6.889
```

Most stable: ii (next structure +0.019 eV/atom)

## i
MgMn4O8: optimized geometry, PBE+U. Values from VASP.

Properties
Its space group is C2/m (12).

Structure (Quantum ESPRESSO input):
```
&SYSTEM
  ibrav = 0, nat = 13, ntyp = 3
/
ATOMIC_SPECIES
Mg 24.30 Mg.upf
Mn 54.94 Mn.upf
O 16.00 O.upf
ATOMIC_POSITIONS crystal
Mg 0.625 0.125 0.116
Mn 0.625 0.625 0.116
Mn 0.625 0.625 0.616
Mn 0.190 0.059 0.867
Mn 0.060 0.191 0.365
O 0.819 0.503 0.830
O 0.887 0.978 0.825
O 0.816 0.482 0.342
O 0.434 0.768 0.891
O 0.887 0.979 0.292
O 0.363 0.271 0.407
O 0.363 0.272 0.941
O 0.431 0.748 0.402
CELL_PARAMETERS angstrom
5.588 -1.208 0.515
1.735 5.551 0.485
2.866 1.655 4.680
```

## ii
MgMn4O8: optimized geometry, PBE+U. Values from VASP.

Properties
Its space group is Pm (6).

Structure (Quantum ESPRESSO input):
```
&SYSTEM
  ibrav = 0, nat = 13, ntyp = 3
/
ATOMIC_SPECIES
O 16.00 O.upf
Mn 54.94 Mn.upf
Mg 24.30 Mg.upf
ATOMIC_POSITIONS crystal
O 0.773 0.931 0.242
O 0.273 0.396 0.250
O 0.772 0.289 0.541
O 0.272 0.059 0.755
O 0.273 0.725 0.473
O 0.773 0.195 0.017
O 0.772 0.638 0.737
O 0.272 0.803 0.992
Mn 0.273 0.076 0.141
Mn 0.272 0.435 0.655
Mn 0.772 0.923 0.879
Mn 0.773 0.561 0.347
Mg 0.773 0.928 0.578
CELL_PARAMETERS angstrom
-0.929 1.091 -2.548
-3.003 -4.317 -0.750
-6.899 4.405 4.403
```

Most stable: i (next structure +0.005 eV/atom)

## i
LiP3W2O12: optimized geometry, PBE+U. Values from VASP.

Properties
Its space group is P-1 (2).

Structure (Quantum ESPRESSO input):
```
&SYSTEM
  ibrav = 0, nat = 36, ntyp = 4
/
ATOMIC_SPECIES
O 16.00 O.upf
P 30.97 P.upf
W 183.84 W.upf
Li 6.94 Li.upf
ATOMIC_POSITIONS crystal
O 0.533 0.544 0.711
O 0.868 0.162 0.401
O 0.862 0.261 0.757
O 0.825 0.457 0.570
O 0.500 0.909 0.222
O 0.467 0.456 0.289
O 0.829 0.524 0.271
O 0.774 0.832 0.306
O 0.286 0.005 0.916
O 0.777 0.760 0.618
O 0.910 0.388 0.097
O 0.171 0.476 0.729
O 0.642 0.879 0.746
O 0.358 0.121 0.254
O 0.132 0.838 0.599
O 0.908 0.806 0.935
O 0.500 0.091 0.778
O 0.092 0.194 0.065
O 0.138 0.739 0.243
O 0.175 0.543 0.430
O 0.226 0.168 0.694
O 0.090 0.612 0.903
O 0.223 0.240 0.382
O 0.714 0.995 0.084
P 0.006 0.541 0.253
P 0.289 0.258 0.249
P 0.711 0.742 0.751
P 0.283 0.027 0.748
P 0.994 0.459 0.747
P 0.717 0.973 0.252
W 0.797 0.647 0.438
W 0.203 0.860 0.069
W 0.203 0.353 0.562
W 0.797 0.140 0.931
Li 0.349 0.814 0.581
Li 0.651 0.186 0.419
CELL_PARAMETERS angstrom
8.632 0.000 0.000
-4.214 7.547 0.000
-4.312 -2.483 7.640
```

## ii
LiP3W2O12: optimized geometry, PBE+U. Values from VASP.

Properties
Its space group is Pbcm (57).

Structure (Quantum ESPRESSO input):
```
&SYSTEM
  ibrav = 0, nat = 72, ntyp = 4
/
ATOMIC_SPECIES
O 16.00 O.upf
W 183.84 W.upf
Li 6.94 Li.upf
P 30.97 P.upf
ATOMIC_POSITIONS crystal
O 0.696 0.973 0.439
O 0.944 0.863 0.562
O 0.633 0.787 0.618
O 0.367 0.287 0.882
O 0.564 0.398 0.124
O 0.696 0.527 0.939
O 0.793 0.515 0.250
O 0.207 0.485 0.750
O 0.056 0.363 0.938
O 0.633 0.713 0.118
O 0.344 0.077 0.750
O 0.344 0.423 0.250
O 0.868 0.178 0.912
O 0.304 0.027 0.939
O 0.868 0.322 0.412
O 0.868 0.322 0.088
O 0.656 0.577 0.750
O 0.656 0.923 0.250
O 0.633 0.787 0.882
O 0.304 0.027 0.561
O 0.367 0.213 0.118
O 0.367 0.287 0.618
O 0.696 0.973 0.061
O 0.696 0.527 0.561
O 0.868 0.178 0.588
O 0.436 0.602 0.876
O 0.944 0.863 0.938
O 0.132 0.822 0.412
O 0.132 0.822 0.088
O 0.633 0.713 0.382
O 0.436 0.898 0.124
O 0.436 0.602 0.624
O 0.056 0.363 0.562
O 0.564 0.398 0.376
O 0.793 0.985 0.750
O 0.056 0.137 0.062
O 0.564 0.102 0.876
O 0.564 0.102 0.624
O 0.304 0.473 0.061
O 0.436 0.898 0.376
O 0.132 0.678 0.912
O 0.367 0.213 0.382
O 0.056 0.137 0.438
O 0.304 0.473 0.439
O 0.132 0.678 0.588
O 0.944 0.637 0.438
O 0.944 0.637 0.062
O 0.207 0.015 0.250
W 0.247 0.477 0.599
W 0.247 0.023 0.099
W 0.247 0.477 0.901
W 0.753 0.523 0.099
W 0.247 0.023 0.401
W 0.753 0.977 0.599
W 0.753 0.523 0.401
W 0.753 0.977 0.901
Li 0.146 0.769 0.250
Li 0.146 0.731 0.750
Li 0.854 0.231 0.750
Li 0.854 0.269 0.250
P 0.966 0.250 0.000
P 0.034 0.750 0.500
P 0.601 0.873 0.368
P 0.399 0.373 0.132
P 0.399 0.127 0.868
P 0.399 0.373 0.368
P 0.966 0.250 0.500
P 0.601 0.873 0.132
P 0.601 0.627 0.632
P 0.034 0.750 0.000
P 0.399 0.127 0.632
P 0.601 0.627 0.868
CELL_PARAMETERS angstrom
9.062 0.000 0.000
0.000 9.222 0.000
0.000 0.000 12.492
```

Most stable: i (next structure +0.088 eV/atom)

## i
Sr2Mn2O5: optimized geometry, PBE+U. Values from VASP.

Structure (Quantum ESPRESSO input):
```
&SYSTEM
  ibrav = 0, nat = 18, ntyp = 3
/
ATOMIC_SPECIES
O 16.00 O.upf
Sr 87.62 Sr.upf
Mn 54.94 Mn.upf
ATOMIC_POSITIONS crystal
O 0.736 0.764 0.750
O 0.000 0.500 0.000
O 0.736 0.236 0.750
O 0.264 0.236 0.250
O 0.264 0.764 0.750
O 0.264 0.236 0.750
O 0.264 0.764 0.250
O 0.736 0.236 0.250
O 0.000 0.500 0.500
O 0.736 0.764 0.250
Sr 0.000 0.000 0.000
Sr 0.500 0.500 0.500
Sr 0.000 0.000 0.500
Sr 0.500 0.500 0.000
Mn 0.500 0.000 0.750
Mn 0.500 0.000 0.250
Mn 0.000 0.500 0.750
Mn 0.000 0.500 0.250
CELL_PARAMETERS angstrom
-4.042 -4.042 0.000
-4.042 4.042 0.000
0.000 0.000 -7.376
```

## ii
Sr2Mn2O5: optimized geometry, PBE+U. Values from VASP.

Properties
Its space group is Pbam (55).

Structure (Quantum ESPRESSO input):
```
&SYSTEM
  ibrav = 0, nat = 18, ntyp = 3
/
ATOMIC_SPECIES
Sr 87.62 Sr.upf
O 16.00 O.upf
Mn 54.94 Mn.upf
ATOMIC_POSITIONS crystal
Sr 0.000 0.218 0.867
Sr 0.000 0.718 0.633
Sr 0.000 0.282 0.367
Sr 0.000 0.782 0.133
O 0.500 0.500 0.500
O 0.000 0.702 0.902
O 0.500 0.000 0.000
O 0.500 0.527 0.231
O 0.000 0.202 0.598
O 0.000 0.798 0.402
O 0.000 0.298 0.098
O 0.500 0.027 0.269
O 0.500 0.973 0.731
O 0.500 0.473 0.769
Mn 0.500 0.757 0.376
Mn 0.500 0.743 0.876
Mn 0.500 0.243 0.624
Mn 0.500 0.257 0.124
CELL_PARAMETERS angstrom
3.850 0.000 0.000
0.000 5.633 0.000
0.000 0.000 11.056
```

Most stable: ii (next structure +0.059 eV/atom)